Record 1
VASP calculation (PBE) on Zr2N2O after structural relaxation.

- MP2020-corrected energy: -49.7 eV/f.u.

a b c (Å): 8.8491 8.8785 8.8869
angles (deg): 109.48 109.40 109.35
Space group P1 (No. 1)
One atom of each set of equivalent atoms:
Zr  0.0000  0.0000  0.0000 x1
Zr  0.0063  0.4918  0.5008 x1
Zr  0.0408  0.7039  0.2433 x1
Zr  0.2255  0.1823  0.4597 x1
Zr  0.2569  0.4698  0.2234 x1
Zr  0.2667  0.9617  0.7133 x1
Zr  0.2938  0.7450  0.9620 x1
Zr  0.4735  0.2131  0.1809 x1
Zr  0.4913  0.9196  0.4197 x1
Zr  0.5121  0.4316  0.9226 x1
Zr  0.5401  0.7131  0.7499 x1
Zr  0.7181  0.6746  0.4690 x1
Zr  0.7455  0.9643  0.2052 x1
Zr  0.7586  0.4722  0.7135 x1
Zr  0.7875  0.2528  0.9686 x1
Zr  0.9725  0.2192  0.6732 x1
N  0.0159  0.4505  0.2462 x1
N  0.0280  0.4910  0.7594 x1
N  0.2412  0.6878  0.1667 x1
N  0.2626  0.2306  0.2513 x1
N  0.2872  0.7274  0.7012 x1
N  0.3006  0.9761  0.4885 x1
N  0.4814  0.4263  0.6678 x1
N  0.4825  0.6978  0.4810 x1
N  0.5181  0.6899  0.9900 x1
N  0.5241  0.1886  0.9487 x1
N  0.5277  0.0084  0.2243 x1
N  0.7212  0.4217  0.4396 x1
N  0.7495  0.9996  0.9795 x1
N  0.7900  0.5098  0.9850 x1
N  0.8072  0.7382  0.7487 x1
N  0.9951  0.2305  0.4414 x1
O  0.0274  0.2217  0.9357 x1
O  0.2074  0.9518  0.9370 x1
O  0.2159  0.1990  0.7285 x1
O  0.4925  0.4739  0.1770 x1
O  0.7148  0.1862  0.6796 x1
O  0.7672  0.9276  0.4525 x1
O  0.9808  0.7420  0.4753 x1
O  0.9812  0.9139  0.1976 x1


Record 2
VASP calculation (PBE) on Ca2SnGe2 after structural relaxation.

a b c (Å): 7.4552 7.4552 4.4857
angles (deg): 90.00 90.00 90.00
Space group P4/mbm (No. 127)
One atom of each set of equivalent atoms:
Ca  0.1773  0.3227  0.0000 x4
Sn  0.0000  0.0000  0.5000 x2
Ge  0.1194  0.6194  0.5000 x4


Record 3
VASP calculation (PBE) on CsNbP2O8 after structural relaxation.

- MP2020-corrected energy: -95.6 eV/f.u.

a b c (Å): 8.8341 5.3178 8.9949
angles (deg): 90.00 93.30 90.00
Space group C2/m (No. 12)
One atom of each set of equivalent atoms:
Cs  0.0000  0.0000  0.0000 x2
Nb  0.0000  0.0000  0.5000 x2
P  0.1437  0.5000  0.3078 x4
O  0.0490  0.2647  0.3515 x8
O  0.1788  0.5000  0.1475 x4
O  0.2113  0.0000  0.5821 x4


Record 4
VASP calculation (PBE) on Na3La5Cl18 after structural relaxation.

- MP2020-corrected energy: -131.5 eV/f.u.

a b c (Å): 7.6049 7.6049 13.2404
angles (deg): 90.00 90.00 120.00
Space group P-6 (No. 174)
One atom of each set of equivalent atoms:
Na  0.0000  0.0000  0.0000 x1
Na  0.6667  0.3333  0.1299 x2
La  0.0000  0.0000  0.3348 x2
La  0.3333  0.6667  0.1672 x2
La  0.3333  0.6667  0.5000 x1
Cl  0.0482  0.6218  0.0000 x3
Cl  0.0588  0.6394  0.3358 x6
Cl  0.2746  0.0281  0.5000 x3
Cl  0.2799  0.0245  0.1740 x6


Record 5
VASP calculation (PBE) on NaYAlPS2O12 after structural relaxation.

- MP2020-corrected energy: -132.4 eV/f.u.

a b c (Å): 8.7141 8.7305 23.0612
angles (deg): 89.74 89.87 60.14
Space group P1 (No. 1)
One atom of each set of equivalent atoms:
Na  0.0000  0.0000  0.0000 x1
Na  0.0018  0.0257  0.4959 x1
Na  0.3565  0.3360  0.1731 x1
Na  0.3610  0.3372  0.6644 x1
Na  0.6800  0.6697  0.3351 x1
Na  0.6848  0.6855  0.8349 x1
Y  0.3414  0.3450  0.0213 x1
Y  0.3411  0.3459  0.8158 x1
Y  0.6715  0.6780  0.6854 x1
Y  0.6794  0.6855  0.9822 x1
Y  0.9924  0.0174  0.1580 x1
Y  0.9934  0.0213  0.6410 x1
Al  0.3386  0.3518  0.3221 x1
Al  0.3416  0.3438  0.5133 x1
Al  0.6731  0.6772  0.1901 x1
Al  0.6892  0.6580  0.4796 x1
Al  0.9957  0.0502  0.3526 x1
Al  0.9995  0.0039  0.8519 x1
P  0.0419  0.6612  0.9153 x1
P  0.0582  0.3471  0.4177 x1
P  0.6518  0.3973  0.5749 x1
P  0.6684  0.9663  0.0930 x1
P  0.6962  0.3219  0.2573 x1
P  0.7224  0.0073  0.7544 x1
S  0.0023  0.2954  0.7555 x1
S  0.0093  0.7100  0.2585 x1
S  0.2896  0.7352  0.7545 x1
S  0.3055  0.0168  0.2576 x1
S  0.3201  0.0455  0.9151 x1
S  0.3382  0.6372  0.4178 x1
S  0.3880  0.6791  0.0913 x1
S  0.3927  0.9762  0.5743 x1
S  0.6295  0.0576  0.4173 x1
S  0.6581  0.3307  0.9155 x1
S  0.9601  0.3941  0.0914 x1
S  0.9736  0.6618  0.5750 x1
O  0.0197  0.2021  0.7004 x1
O  0.0284  0.8428  0.9082 x1
O  0.0346  0.1806  0.4077 x1
O  0.0508  0.7718  0.2039 x1
O  0.1297  0.5446  0.8628 x1
O  0.1335  0.3867  0.0895 x1
O  0.1463  0.3762  0.3641 x1
O  0.1479  0.5756  0.9715 x1
O  0.1498  0.5026  0.5673 x1
O  0.1575  0.0386  0.9064 x1
O  0.1577  0.3211  0.7561 x1
O  0.1652  0.5310  0.2688 x1
O  0.1762  0.3136  0.4716 x1
O  0.1787  0.8147  0.4094 x1
O  0.1973  0.8384  0.8061 x1
O  0.1982  0.8162  0.6995 x1
O  0.2028  0.0530  0.2035 x1
O  0.2109  0.9856  0.3070 x1
O  0.2117  0.8381  0.0950 x1
O  0.2150  0.9916  0.5784 x1
O  0.2991  0.1479  0.9687 x1
O  0.3088  0.5530  0.4699 x1
O  0.3097  0.5568  0.7552 x1
O  0.3282  0.1724  0.2685 x1
O  0.3582  0.1255  0.8649 x1
O  0.3700  0.1563  0.5674 x1
O  0.3714  0.5231  0.3663 x1
O  0.3719  0.5174  0.0902 x1
O  0.4646  0.6922  0.0359 x1
O  0.4681  0.7173  0.7547 x1
O  0.4725  0.8646  0.9197 x1
O  0.4817  0.8539  0.2502 x1
O  0.4854  0.9100  0.6309 x1
O  0.4879  0.3747  0.5651 x1
O  0.4896  0.8582  0.5260 x1
O  0.4981  0.6633  0.1425 x1
O  0.4994  0.1499  0.0914 x1
O  0.4992  0.6569  0.4255 x1
O  0.5129  0.3423  0.2720 x1
O  0.5157  0.1408  0.3658 x1
O  0.5365  0.1716  0.7544 x1
O  0.5453  0.3602  0.8647 x1
O  0.5499  0.1697  0.4697 x1
O  0.5789  0.3034  0.9688 x1
O  0.6260  0.4930  0.6336 x1
O  0.6498  0.8784  0.4259 x1
O  0.6608  0.8595  0.1460 x1
O  0.6765  0.4886  0.9203 x1
O  0.6801  0.4982  0.5252 x1
O  0.6831  0.5054  0.2453 x1
O  0.6831  0.8750  0.0350 x1
O  0.7079  0.8382  0.7536 x1
O  0.7613  0.2107  0.2021 x1
O  0.8053  0.0220  0.6972 x1
O  0.8096  0.0395  0.4085 x1
O  0.8209  0.2127  0.5771 x1
O  0.8309  0.0000  0.8079 x1
O  0.8311  0.2252  0.3077 x1
O  0.8328  0.1733  0.9079 x1
O  0.8346  0.9862  0.0935 x1
O  0.8388  0.4706  0.7544 x1
O  0.8469  0.6943  0.2493 x1
O  0.8512  0.6918  0.5267 x1
O  0.8546  0.6854  0.9173 x1
O  0.8629  0.5000  0.1427 x1
O  0.8657  0.4663  0.0364 x1
O  0.8686  0.5120  0.4270 x1
O  0.9041  0.6380  0.6312 x1
O  0.9778  0.8341  0.3068 x1
O  0.9878  0.2133  0.0944 x1
O  0.9941  0.8207  0.5781 x1
O  0.9960  0.1995  0.8070 x1


Record 6
VASP calculation (PBE) on Cs2MgH4 after structural relaxation.

- MP2020-corrected energy: -19.2 eV/f.u.
- Excess energy over the best structure of this formula in the dataset: 0.0 meV/atom

a b c (Å): 8.6569 6.6342 11.7045
angles (deg): 90.00 90.00 90.00
Space group Pnma (No. 62)
One atom of each set of equivalent atoms:
Cs  0.0084  0.2500  0.1906 x4
Cs  0.1589  0.7500  0.4181 x4
Mg  0.2358  0.7500  0.0885 x4
H  0.0219  0.7500  0.0873 x4
H  0.1818  0.2500  0.4404 x4
H  0.1872  0.0205  0.6594 x8


Number 1: ΔH_f (0 K) -2193 meV per atom. Number 2: ΔH_f (0 K) -548 meV per atom. Number 3: ΔH_f (0 K) -2849 meV per atom. Number 4: ΔH_f (0 K) -2676 meV per atom. Number 5: ΔH_f (0 K) -2654 meV per atom. Number 6: ΔH_f (0 K) -313 meV per atom.